Record 1
Computed, not measured: Be3Si3C4SO12 after structural relaxation at the PBE level of DFT.

extended XYZ file:
```
46
Lattice="8.0214 0.0000 0.0000 0.0000 8.0214 0.0000 0.0000 0.0000 8.0214" Properties=species:S:1:pos:R:3 pbc="T T T"
Be 0.0000 2.0054 4.0107
Be 0.0000 6.0161 4.0107
Be 2.0054 4.0107 0.0000
Be 4.0107 0.0000 2.0054
Be 4.0107 0.0000 6.0161
Be 6.0161 4.0107 0.0000
Si 0.0000 4.0107 2.0054
Si 0.0000 4.0107 6.0161
Si 2.0054 0.0000 4.0107
Si 4.0107 2.0054 0.0000
Si 4.0107 6.0161 0.0000
Si 6.0161 0.0000 4.0107
C 1.3598 1.3598 1.3598
C 1.3598 6.6617 6.6617
C 2.6509 2.6509 5.3705
C 2.6509 5.3705 2.6509
C 5.3705 2.6509 2.6509
C 5.3705 5.3705 5.3705
C 6.6617 1.3598 6.6617
C 6.6617 6.6617 1.3598
S 0.0000 0.0000 0.0000
S 4.0107 4.0107 4.0107
O 0.8083 2.9040 5.1031
O 0.8083 5.1174 2.9184
O 1.0923 1.1067 3.2024
O 1.0923 6.9148 4.8190
O 1.1067 3.2024 1.0923
O 1.1067 4.8190 6.9291
O 2.9040 2.9184 7.2131
O 2.9040 5.1031 0.8083
O 2.9184 0.8083 5.1174
O 2.9184 7.2131 2.9040
O 3.2024 1.0923 1.1067
O 3.2024 6.9291 6.9148
O 4.8190 1.0923 6.9148
O 4.8190 6.9291 1.1067
O 5.1031 0.8083 2.9040
O 5.1031 7.2131 5.1174
O 5.1174 2.9184 0.8083
O 5.1174 5.1031 7.2131
O 6.9148 3.2024 6.9291
O 6.9148 4.8190 1.0923
O 6.9291 1.1067 4.8190
O 6.9291 6.9148 3.2024
O 7.2131 2.9040 2.9184
O 7.2131 5.1174 5.1031
```

Energy of formation: -1300 meV per atom
Size of the total moment: 0.000 μB per atom

---

Record 2
Computed, not measured: SnO2 after structural relaxation at the PBE level of DFT.

extended XYZ file:
```
24
Lattice="5.1568 0.0000 0.0000 0.0000 10.1620 0.0000 0.0000 0.0000 5.2470" Properties=species:S:1:pos:R:3 pbc="T T T"
Sn 1.1946 1.1991 0.1683
Sn 1.1946 3.8819 2.7918
Sn 1.3838 6.2801 0.1683
Sn 1.3838 8.9629 2.7918
Sn 3.7731 1.1991 2.4551
Sn 3.7731 3.8819 5.0786
Sn 3.9622 6.2801 2.4551
Sn 3.9622 8.9629 5.0786
O 0.0078 5.3037 3.9840
O 0.0078 9.9393 1.3605
O 0.6723 7.2214 1.9331
O 0.6723 8.0217 4.5566
O 1.9062 2.1404 1.9331
O 1.9062 2.9406 4.5566
O 2.5706 0.2227 3.9840
O 2.5706 4.8583 1.3605
O 2.5863 5.3037 3.8865
O 2.5863 9.9393 1.2630
O 3.2507 7.2214 0.6904
O 3.2507 8.0217 3.3139
O 4.4846 2.1404 0.6904
O 4.4846 2.9406 3.3139
O 5.1490 0.2227 3.8865
O 5.1490 4.8583 1.2630
```

Energy of formation: -1973 meV per atom
Size of the total moment: 0.000 μB per atom

---

Record 3
Computed, not measured: La2Al3Sn after structural relaxation at the PBE level of DFT.

extended XYZ file:
```
6
Lattice="4.4492 0.0000 0.0000 0.0000 4.5137 0.0000 0.0000 0.0000 7.8174" Properties=species:S:1:pos:R:3 pbc="T T T"
La 0.0000 0.0000 0.0000
La 0.0000 2.2569 3.8548
Al 2.2246 0.0000 2.5499
Al 2.2246 0.0000 5.0849
Al 2.2246 2.2569 1.3624
Sn 2.2246 2.2569 6.5082
```

Energy of formation: -549 meV per atom

---

Record 4
Computed, not measured: TiMo2W after structural relaxation at the PBE level of DFT.

extended XYZ file:
```
16
Lattice="6.3355 0.0000 0.0000 0.0000 6.3355 0.0000 0.0000 0.0000 6.3355" Properties=species:S:1:pos:R:3 pbc="T T T"
Ti 0.0000 0.0000 0.0000
Ti 0.0000 3.1677 3.1677
Ti 3.1677 0.0000 3.1677
Ti 3.1677 3.1677 0.0000
Mo 1.5839 1.5839 1.5839
Mo 1.5839 1.5839 4.7516
Mo 1.5839 4.7516 1.5839
Mo 1.5839 4.7516 4.7516
Mo 4.7516 1.5839 1.5839
Mo 4.7516 1.5839 4.7516
Mo 4.7516 4.7516 1.5839
Mo 4.7516 4.7516 4.7516
W 0.0000 0.0000 3.1677
W 0.0000 3.1677 0.0000
W 3.1677 0.0000 0.0000
W 3.1677 3.1677 3.1677
```

Energy of formation: -138 meV per atom
Offset from the most stable computed form: 0.000 eV per formula unit

---

Record 5
Computed, not measured: Zr2N2O after structural relaxation at the PBE level of DFT.

extended XYZ file:
```
40
Lattice="8.8538 0.0000 0.0000 -2.9670 8.3696 0.0000 -2.9312 -4.1901 7.2643" Properties=species:S:1:pos:R:3 pbc="T T T"
Zr 0.0000 0.0000 0.0000
Zr -2.9186 2.0329 3.6418
Zr -2.9162 5.1294 2.3987
Zr -0.3598 6.0214 0.2727
Zr -0.2207 -3.0046 5.6892
Zr -0.1360 3.2602 2.0253
Zr 0.0045 0.3537 3.9086
Zr 2.5343 1.3616 1.8293
Zr 2.5368 -1.8794 4.1611
Zr 2.6263 4.3615 0.5331
Zr 0.1415 3.0461 5.9745
Zr 5.5698 1.9419 0.2702
Zr 2.8061 1.1304 5.7258
Zr 5.8525 -0.9678 2.0966
Zr 3.0363 4.5591 3.9118
Zr 5.5396 -0.7583 5.4960
N -3.7471 3.9995 4.0829
N -2.0836 -0.0361 3.7890
N -2.3261 -2.7134 5.8290
N 0.3650 1.0689 1.8732
N 0.4871 4.0048 0.1177
N 0.3865 -1.7550 4.0413
N -0.6530 5.3885 2.3345
N 3.4461 2.4166 0.1289
N 0.6046 0.9152 5.9459
N 2.0281 3.3057 2.4430
N 2.1523 3.2153 5.4029
N 3.4149 -0.9752 6.0115
N 3.8324 5.5096 1.9853
N 6.7374 0.0833 0.4357
N 6.5022 3.1051 1.7813
N 4.9648 1.3965 5.4934
O -0.6789 8.1919 0.1781
O -0.8281 2.5008 4.0996
O -0.9277 4.9350 5.5822
O 1.6997 6.5503 0.3739
O 2.3509 0.2791 3.7361
O 4.7113 -1.9863 3.7251
O 4.6546 0.9555 2.2247
O 6.2517 6.1753 0.4246
```

Energy of formation: -2188 meV per atom

---

Record 6
Computed, not measured: LiYSn after structural relaxation at the PBE level of DFT.

extended XYZ file:
```
24
Lattice="9.3750 0.0000 0.0000 -4.6875 8.1190 0.0000 0.0000 0.0000 7.3591" Properties=species:S:1:pos:R:3 pbc="T T T"
Li 0.0000 2.7125 0.0000
Li -2.3384 6.7627 0.0000
Li 0.0000 5.4127 4.6236
Li 2.3491 1.3562 3.6796
Li 2.3384 6.7627 0.0000
Li 4.6875 2.7063 0.9440
Li 7.0259 1.3562 3.6796
Li 4.6875 5.4065 3.6796
Y 0.0000 0.0000 2.1944
Y 0.0000 0.0000 5.8739
Y -2.1516 4.1704 2.2309
Y 2.1516 4.1704 2.2309
Y 0.0000 7.8971 2.2309
Y 4.6875 0.2218 5.9105
Y 2.5359 3.9486 5.9105
Y 6.8391 3.9486 5.9105
Sn 0.0000 2.7033 4.1979
Sn -2.3464 6.7673 4.1979
Sn 2.3411 1.3516 0.5183
Sn 0.0000 5.4127 0.2527
Sn 4.6875 2.7063 3.9322
Sn 2.3464 6.7673 4.1979
Sn 7.0339 1.3516 0.5183
Sn 4.6875 5.4157 0.5183
```

Energy of formation: -679 meV per atom

---

Record 7
Computed, not measured: Na2EuGeSe4 after structural relaxation at the PBE level of DFT.

extended XYZ file:
```
16
Lattice="7.4062 0.0000 0.0000 0.0000 7.4062 0.0000 0.0000 0.0000 7.4570" Properties=species:S:1:pos:R:3 pbc="T T T"
Na 0.0000 3.7031 0.0000
Na 0.0000 3.7031 3.7285
Na 3.7031 0.0000 0.0000
Na 3.7031 0.0000 3.7285
Eu 0.0000 0.0000 0.0000
Eu 3.7031 3.7031 3.7285
Ge 0.0000 0.0000 3.7285
Ge 3.7031 3.7031 0.0000
Se 1.3990 1.3990 2.3512
Se 1.3990 6.0072 5.1058
Se 2.3041 2.3041 6.0797
Se 2.3041 5.1021 1.3773
Se 5.1021 2.3041 1.3773
Se 5.1021 5.1021 6.0797
Se 6.0072 1.3990 5.1058
Se 6.0072 6.0072 2.3512
```

Energy of formation: -1280 meV per atom
Size of the total moment: 0.875 μB per atom

---

Record 8
Computed, not measured: MgAl2O4 after structural relaxation at the PBE level of DFT.

extended XYZ file:
```
56
Lattice="2.8841 1.6651 18.8947 -2.8841 1.6651 18.8947 0.0000 -3.3303 18.8947" Properties=species:S:1:pos:R:3 pbc="T T T"
Mg 0.0000 0.0000 0.0000
Mg 0.0000 0.0000 3.4279
Mg 0.0000 0.0000 8.7748
Mg 0.0000 0.0000 14.1015
Mg 0.0000 0.0000 17.6389
Mg 0.0000 0.0000 22.9328
Mg 0.0000 0.0000 31.8365
Mg 0.0000 0.0000 45.9414
Al 0.0000 -1.6915 11.1765
Al -1.4649 0.8458 11.1765
Al -1.4186 -0.8190 20.5975
Al 0.0000 -1.7136 25.3436
Al -1.4840 0.8568 25.3436
Al -1.4396 -0.8311 34.7950
Al 0.0000 0.0000 28.3092
Al 1.4186 -0.8190 20.5975
Al 0.0000 1.6380 20.5975
Al 1.4649 0.8458 11.1764
Al 0.0000 0.0000 37.1524
Al 0.0000 0.0000 42.5401
Al 1.4396 -0.8311 34.7950
Al 0.0000 1.6623 34.7950
Al 1.4840 0.8568 25.3437
Al 0.0000 0.0000 51.3448
O 0.0000 -1.8433 14.7705
O -1.5964 0.9217 14.7705
O 0.0000 0.0000 5.3993
O -1.3825 -0.7982 24.2681
O -1.6071 -0.9279 31.1934
O 0.0000 0.0000 12.0880
O 0.0000 -1.5366 21.6044
O -1.3308 0.7683 21.6044
O 0.0000 -1.6944 28.9896
O -1.4674 0.8472 28.9896
O 0.0000 0.0000 19.5667
O -1.2611 -0.7281 38.3956
O -1.5611 -0.9013 45.2661
O 0.0000 0.0000 26.4495
O 0.0000 -1.4823 35.8899
O -1.2837 0.7411 35.8899
O 1.3825 -0.7982 24.2680
O 0.0000 1.5964 24.2680
O 0.0000 0.0000 33.7894
O 1.5964 0.9217 14.7705
O 1.3308 0.7683 21.6044
O 0.0000 0.0000 40.6852
O 1.6071 -0.9279 31.1935
O 0.0000 1.8558 31.1935
O 1.2611 -0.7281 38.3956
O 0.0000 1.4562 38.3956
O 0.0000 0.0000 47.9538
O 1.4674 0.8472 28.9896
O 1.2837 0.7411 35.8899
O 0.0000 0.0000 54.6797
O 1.5611 -0.9013 45.2661
O 0.0000 1.8026 45.2661
```

Energy of formation: -3354 meV per atom
Offset from the most stable computed form: 0.144 eV per formula unit
Size of the total moment: 0.000 μB per atom

---

Record 9
Computed, not measured: CsCdO3 after structural relaxation at the PBE level of DFT.

extended XYZ file:
```
5
Lattice="4.5410 0.0000 0.0000 0.0000 4.5410 0.0000 0.0000 0.0000 4.5410" Properties=species:S:1:pos:R:3 pbc="T T T"
Cs 0.0000 0.0000 0.0000
Cd 2.2705 2.2705 2.2705
O 0.0000 2.2705 2.2705
O 2.2705 0.0000 2.2705
O 2.2705 2.2705 0.0000
```

Energy of formation: -701 meV per atom
Size of the total moment: 0.605 μB per atom

---

Record 10
Computed, not measured: CaMn4S8 after structural relaxation at the PBE level of DFT.

extended XYZ file:
```
13
Lattice="3.5399 2.0438 5.6638 -3.5399 2.0438 5.6638 0.0000 -4.0876 5.6638" Properties=species:S:1:pos:R:3 pbc="T T T"
Ca 0.0000 0.0000 0.0000
Mn -1.7700 -1.0219 5.6638
Mn -1.7700 1.0219 11.3275
Mn 0.0000 2.0438 5.6637
Mn 0.0000 0.0000 8.4956
S 0.0000 0.0000 4.4308
S 0.0000 -1.8126 7.0619
S -1.5698 0.9063 7.0619
S -1.5698 -0.9063 9.9294
S 1.5698 0.9063 7.0619
S 1.5698 -0.9063 9.9294
S 0.0000 1.8126 9.9294
S 0.0000 0.0000 12.5605
```

Energy of formation: -1045 meV per atom
Offset from the most stable computed form: 0.756 eV per formula unit
Size of the total moment: 0.769 μB per atom

---

Record 11
Computed, not measured: Te16Mo9Ru3 after structural relaxation at the PBE level of DFT.

extended XYZ file:
```
28
Lattice="7.1485 0.0000 0.0000 -0.9016 9.7883 0.0000 -0.0433 -0.0932 10.3470" Properties=species:S:1:pos:R:3 pbc="T T T"
Te 0.0000 0.0000 0.0000
Te -0.4711 4.8338 5.1709
Te 0.6165 1.6506 7.1079
Te 0.1945 6.6021 1.9428
Te 1.7631 8.0235 5.9090
Te 2.2472 3.1634 0.7818
Te 2.9048 4.8014 7.7137
Te 3.3865 -0.0169 2.5547
Te 3.2185 5.1781 3.8511
Te 3.6482 0.3252 9.0005
Te 4.2084 1.8506 5.6547
Te 3.8036 6.7662 0.5569
Te 5.8415 2.9688 2.0199
Te 5.3960 7.8099 7.1843
Te 5.8512 9.3054 3.8604
Te 6.2977 4.3593 9.0248
Mo 0.9369 1.3753 2.3447
Mo 0.4800 6.2300 7.5027
Mo 1.9139 0.7213 4.7427
Mo 1.4404 5.5784 9.9316
Mo 1.9451 3.3847 5.4449
Mo 1.5184 8.3383 0.2506
Mo 2.8109 7.4681 8.4033
Mo 6.8126 2.1716 4.5620
Mo 6.3378 7.0416 9.7282
Ru 0.9557 4.0811 2.9849
Ru 0.4858 8.9444 8.1534
Ru 3.2937 2.6150 3.1785
```

Energy of formation: -283 meV per atom

---

Record 12
Computed, not measured: Ca2Zn after structural relaxation at the PBE level of DFT.

extended XYZ file:
```
6
Lattice="7.4585 0.0000 0.0000 0.0000 7.4585 0.0000 0.0000 0.0000 3.9484" Properties=species:S:1:pos:R:3 pbc="T T T"
Ca 1.6248 1.6248 0.0000
Ca 2.1045 5.3540 1.9742
Ca 5.3540 2.1045 1.9742
Ca 5.8337 5.8337 0.0000
Zn 0.0000 0.0000 1.9742
Zn 3.7292 3.7292 0.0000
```

Energy of formation: -16 meV per atom
Size of the total moment: 0.000 μB per atom

---

Please write out number 4 again, unchanged.
Computed, not measured: TiMo2W after structural relaxation at the PBE level of DFT.

extended XYZ file:
```
16
Lattice="6.3355 0.0000 0.0000 0.0000 6.3355 0.0000 0.0000 0.0000 6.3355" Properties=species:S:1:pos:R:3 pbc="T T T"
Ti 0.0000 0.0000 0.0000
Ti 0.0000 3.1677 3.1677
Ti 3.1677 0.0000 3.1677
Ti 3.1677 3.1677 0.0000
Mo 1.5839 1.5839 1.5839
Mo 1.5839 1.5839 4.7516
Mo 1.5839 4.7516 1.5839
Mo 1.5839 4.7516 4.7516
Mo 4.7516 1.5839 1.5839
Mo 4.7516 1.5839 4.7516
Mo 4.7516 4.7516 1.5839
Mo 4.7516 4.7516 4.7516
W 0.0000 0.0000 3.1677
W 0.0000 3.1677 0.0000
W 3.1677 0.0000 0.0000
W 3.1677 3.1677 3.1677
```

Energy of formation: -138 meV per atom
Offset from the most stable computed form: 0.000 eV per formula unit